Record 1
First-principles (PBE) data for a relaxed structure of LaSeS, as listed in the Materials Project database.

Geometry as CIF:
```
data_LaSeS
_cell_length_a 8.406
_cell_length_b 4.178
_cell_length_c 8.392
_cell_angle_alpha 90.00
_cell_angle_beta 90.25
_cell_angle_gamma 90.00
_symmetry_space_group_name_H-M 'P 1 21/c 1'
_symmetry_Int_Tables_number 14
loop_
_symmetry_equiv_pos_as_xyz
'x,y,z'
'-x,-y,-z'
'-x,y+1/2,-z+1/2'
'x,-y+1/2,z+1/2'
loop_
_atom_site_label
_atom_site_fract_x
_atom_site_fract_y
_atom_site_fract_z
La1 0.213 0.217 0.372
Se1 0.498 0.684 0.381
S1 0.134 0.740 0.126
```



Record 2
First-principles (PBE) data for a relaxed structure of Dy2Au5F21, as listed in the Materials Project database.

Geometry as CIF:
```
data_Dy2Au5F21
_cell_length_a 8.108
_cell_length_b 9.192
_cell_length_c 12.160
_cell_angle_alpha 89.14
_cell_angle_beta 88.92
_cell_angle_gamma 88.91
_symmetry_space_group_name_H-M 'P -1'
_symmetry_Int_Tables_number 2
loop_
_symmetry_equiv_pos_as_xyz
'x,y,z'
'-x,-y,-z'
loop_
_atom_site_label
_atom_site_fract_x
_atom_site_fract_y
_atom_site_fract_z
Dy1 0.166 0.181 0.001
Dy2 0.172 0.317 0.496
Au1 0.058 0.508 0.791
Au2 0.059 0.985 0.704
Au3 0.326 0.722 0.405
Au4 0.337 0.777 0.093
Au5 0.482 0.750 0.755
F1 0.000 0.000 0.000
F2 0.000 0.500 0.500
F3 0.024 0.132 0.416
F4 0.056 0.387 0.089
F5 0.081 0.119 0.188
F6 0.085 0.386 0.312
F7 0.085 0.736 0.386
F8 0.096 0.743 0.089
F9 0.158 0.103 0.819
F10 0.185 0.407 0.674
F11 0.197 0.400 0.897
F12 0.198 0.093 0.597
F13 0.302 0.729 0.862
F14 0.315 0.757 0.642
F15 0.322 0.976 0.027
F16 0.327 0.514 0.454
F17 0.331 0.919 0.346
F18 0.343 0.228 0.360
F19 0.357 0.588 0.166
F20 0.359 0.253 0.122
F21 0.423 0.198 0.899
F22 0.433 0.279 0.576
```



Record 3
First-principles (PBE) data for a relaxed structure of ReW2, as listed in the Materials Project database.

Geometry as CIF:
```
data_ReW2
_cell_length_a 3.154
_cell_length_b 4.489
_cell_length_c 13.467
_cell_angle_alpha 90.00
_cell_angle_beta 90.00
_cell_angle_gamma 90.00
_symmetry_space_group_name_H-M 'F m m m'
_symmetry_Int_Tables_number 69
_symmetry_space_group_name_Hall '-F 2 2'
loop_
_atom_site_label
_atom_site_fract_x
_atom_site_fract_y
_atom_site_fract_z
Re1 0.000 0.000 0.000
W1 0.000 0.000 0.334
```



Record 4
First-principles (PBE) data for a relaxed structure of Te4MoW2Se2, as listed in the Materials Project database.

Geometry as CIF:
```
data_Te4MoW2Se2
_cell_length_a 3.4774
_cell_length_b 3.4774
_cell_length_c 32.0752
_cell_angle_alpha 90.00
_cell_angle_beta 90.00
_cell_angle_gamma 120.00
_symmetry_space_group_name_H-M 'P 3 m 1'
_symmetry_Int_Tables_number 156
loop_
_symmetry_equiv_pos_as_xyz
'x,y,z'
'-y,x-y,z'
'-x+y,-x,z'
'-y,-x,z'
'-x+y,y,z'
'x,x-y,z'
loop_
_atom_site_label
_atom_site_fract_x
_atom_site_fract_y
_atom_site_fract_z
Te1 0.0000 0.0000 0.0000
Te2 0.0000 0.0000 0.1147
Te3 0.0000 0.0000 0.4623
Te4 0.0000 0.0000 0.5777
Mo1 0.6667 0.3333 0.0573
W1 0.0000 0.0000 0.2887
W2 0.6667 0.3333 0.5200
Se1 0.6667 0.3333 0.2378
Se2 0.6667 0.3333 0.3395
```



Record 5
First-principles (PBE) data for a relaxed structure of TiGaRh, as listed in the Materials Project database.

Geometry as CIF:
```
data_TiGaRh
_cell_length_a 5.910
_cell_length_b 5.910
_cell_length_c 5.910
_cell_angle_alpha 90.00
_cell_angle_beta 90.00
_cell_angle_gamma 90.00
_symmetry_space_group_name_H-M 'F -4 3 m'
_symmetry_Int_Tables_number 216
_symmetry_space_group_name_Hall 'F -4 2 3'
loop_
_atom_site_label
_atom_site_fract_x
_atom_site_fract_y
_atom_site_fract_z
Ti1 0.000 0.000 0.000
Ga1 0.250 0.250 0.750
Rh1 0.000 0.000 0.500
```



Record 6
First-principles (PBE) data for a relaxed structure of Dy2Se3, as listed in the Materials Project database.

Geometry as CIF:
```
data_Dy2Se3
_cell_length_a 11.162
_cell_length_b 4.029
_cell_length_c 11.001
_cell_angle_alpha 90.00
_cell_angle_beta 90.00
_cell_angle_gamma 90.00
_symmetry_space_group_name_H-M 'P n m a'
_symmetry_Int_Tables_number 62
loop_
_symmetry_equiv_pos_as_xyz
'x,y,z'
'-x,-y,-z'
'-x+1/2,-y,z+1/2'
'x+1/2,y,-z+1/2'
'x+1/2,-y+1/2,-z+1/2'
'-x+1/2,y+1/2,z+1/2'
'-x,y+1/2,-z'
'x,-y+1/2,z'
loop_
_atom_site_label
_atom_site_fract_x
_atom_site_fract_y
_atom_site_fract_z
Dy1 0.013 0.250 0.187
Dy2 0.194 0.250 0.501
Se1 0.044 0.750 0.375
Se2 0.119 0.250 0.944
Se3 0.226 0.750 0.695
```



Calculated DFT formation energy in order - -1.999, -2.232, 0.065, -0.382, -0.168, -2.143 eV per atom